#w
Entry from the Materials Project: a relaxed structure of Mo3C8S13N2 (PBE).

The structure in POSCAR format:
```
Mo3C8S13N2
1.0
5.8825 0.0000 0.0000
-0.0339 10.8326 0.0000
-0.0222 -5.3987 9.4040
S C Mo N
13 8 3 2
Direct
0.4989 0.0370 0.7038
0.1055 0.6668 0.3334
0.6871 0.6668 0.5145
0.6875 0.8480 0.3336
0.4942 0.6672 0.9629
0.6856 0.4869 0.1536
0.4936 0.2956 0.3332
0.3809 0.9333 0.3333
0.1680 0.3359 0.3324
0.3803 0.6666 0.5996
0.1722 0.9973 0.6639
0.1686 0.6669 0.0035
0.3781 0.4010 0.0678
0.1517 0.9972 0.0118
0.9723 0.9084 0.9039
0.9388 0.4235 0.6635
0.9798 0.0963 0.0037
0.9812 0.2374 0.5740
0.1516 0.3490 0.6681
0.9409 0.9966 0.0906
0.9768 0.3351 0.7619
0.4103 0.8123 0.4789
0.4087 0.5215 0.3337
0.4090 0.6672 0.1883
0.7836 0.0033 0.9878
0.7857 0.3160 0.6649
```

#x
Entry from the Materials Project: a relaxed structure of Mo3C8S13N2 (PBE).

The structure in POSCAR format:
```
Mo3C8S13N2
1.0
-5.5054 5.8212 7.0005
2.1951 -9.8062 2.5754
5.2021 2.7552 2.7135
S C Mo N
13 8 3 2
Direct
0.5142 0.6555 0.3361
0.3355 0.9559 0.6573
0.3365 0.2853 0.4898
0.3387 0.8564 0.3670
0.1586 0.4876 0.3472
0.3344 0.3374 0.7930
0.0671 0.4143 0.6250
0.9665 0.6778 0.8155
0.9781 0.7010 0.5079
0.6601 0.0162 0.8266
0.7025 0.0406 0.5263
0.3284 0.6870 0.8857
0.5971 0.6603 0.6077
0.9435 0.9080 0.1113
0.6304 0.4095 0.0450
0.6986 0.3659 0.8514
0.9451 0.0375 0.0153
0.0604 0.0005 0.9092
0.7624 0.3571 0.0479
0.0051 0.8487 0.9405
0.5991 0.2351 0.9689
0.4787 0.8207 0.6090
0.3330 0.5232 0.5933
0.1891 0.6854 0.6129
0.0684 0.0574 0.1353
0.6349 0.3089 0.1842
```

How do the energies compare? Relative to the most stable structure, in meV per atom: #w 98; #x 0.

#w
Entry from the Materials Project: a relaxed structure of Tm2Mo2C3 (PBE).

The structure in POSCAR format:
```
Tm2Mo2C3
1.0
1.6547 5.7911 0.0000
-1.6547 5.7911 0.0000
0.0000 2.0721 5.2694
C Mo Tm
3 2 2
Direct
0.0000 0.0000 0.0000
0.2473 0.2473 0.2633
0.7527 0.7527 0.7367
0.8442 0.8442 0.3276
0.1558 0.1558 0.6724
0.3890 0.3890 0.8280
0.6110 0.6110 0.1720
```

#x
Entry from the Materials Project: a relaxed structure of Tm2Mo2C3 (PBE).

The structure in POSCAR format:
```
Tm2Mo2C3
1.0
3.3621 0.0000 0.0000
0.0000 1.8188 5.3479
-1.6811 -5.6418 0.0000
C Mo Tm
3 2 2
Direct
0.2704 0.7461 0.5408
0.0000 0.5000 0.0000
0.7296 0.2539 0.4592
0.8514 0.6304 0.7029
0.1486 0.3696 0.2971
0.6150 0.8175 0.2299
0.3850 0.1825 0.7701
```

How do the energies compare? Relative to the most stable structure, in meV per atom: #w 0; #x 36.

#w
Entry from the Materials Project: a relaxed structure of NaC2N3 (PBE).

The structure in POSCAR format:
```
NaC2N3
1.0
-3.2704 -14.2628 3.8387
1.5193 -1.1706 -3.0550
7.1129 -1.5525 0.2916
N C Na
12 8 4
Direct
0.8584 0.7272 0.9890
0.6416 0.7272 0.4890
0.3043 0.1966 0.0581
0.1416 0.2728 0.0110
0.4746 0.9537 0.7753
0.8043 0.8034 0.4419
0.9746 0.0463 0.7247
0.0254 0.9537 0.2753
0.5254 0.0463 0.2247
0.6957 0.8034 0.9419
0.1957 0.1966 0.5581
0.3584 0.2728 0.5110
0.2265 0.2240 0.0428
0.4168 0.1005 0.6542
0.2735 0.2240 0.5428
0.9168 0.8995 0.8458
0.0832 0.1005 0.1542
0.5832 0.8995 0.3458
0.7265 0.7760 0.4572
0.7735 0.7760 0.9572
0.0875 0.6194 0.6417
0.9125 0.3806 0.3583
0.4125 0.6194 0.1417
0.5875 0.3806 0.8583
```

#x
Entry from the Materials Project: a relaxed structure of NaC2N3 (PBE).

The structure in POSCAR format:
```
NaC2N3
1.0
18.8527 0.0000 0.0000
0.0000 4.2921 0.0000
0.0000 3.7757 4.3701
C N Na
8 12 4
Direct
0.4939 0.4986 0.3779
0.1666 0.6937 0.9942
0.0061 0.4986 0.8779
0.6666 0.3063 0.5058
0.9939 0.5014 0.1221
0.8334 0.3063 0.0058
0.5061 0.5014 0.6221
0.3334 0.6937 0.4942
0.8121 0.2243 0.2324
0.9879 0.8212 0.1133
0.9788 0.1472 0.4288
0.3121 0.7757 0.2676
0.6879 0.2243 0.7324
0.0212 0.8528 0.5712
0.5212 0.1472 0.9288
0.5121 0.8212 0.6133
0.1879 0.7757 0.7676
0.0121 0.1788 0.8867
0.4879 0.1788 0.3867
0.4788 0.8528 0.0712
0.1730 0.5666 0.4759
0.8270 0.4334 0.5241
0.3270 0.5666 0.9759
0.6730 0.4334 0.0241
```

How do the energies compare? Relative to the most stable structure, in meV per atom: #w 0; #x 410.

#w
Entry from the Materials Project: a relaxed structure of NaCNO (PBE).

The structure in POSCAR format:
```
NaCNO
1.0
2.9465 1.7136 8.1455
-2.3374 2.9591 4.6869
-3.4424 -4.8817 -2.5137
N O C Na
1 1 1 1
Direct
0.1253 0.0294 0.0000
0.8932 0.9448 0.0000
0.0105 0.9882 0.0000
0.9510 0.5276 0.0000
```

#x
Entry from the Materials Project: a relaxed structure of NaCNO (PBE).

Maximum piezoelectric response, C/m²: 0.23

The structure in POSCAR format:
```
NaCNO
1.0
0.6516 1.8363 -3.1131
0.6516 -1.8363 -3.1131
-4.5230 0.0000 -3.1131
Na O N C
1 1 1 1
Direct
0.5052 0.5052 0.4843
0.0818 0.0818 0.7547
0.9222 0.9222 0.2334
0.0008 0.0008 0.9977
```

How do the energies compare? Relative to the most stable structure, in meV per atom: #w 255; #x 0.

#w
Entry from the Materials Project: a relaxed structure of Si3C10NO7 (PBE).

The structure in POSCAR format:
```
Si3C10NO7
1.0
6.8746 3.5868 4.5236
-4.4120 10.5025 -1.6224
-6.4428 -1.0637 10.6347
O Si N C
28 12 4 40
Direct
0.3599 0.8492 0.5935
0.6519 0.6846 0.4116
0.5409 0.2422 0.7421
0.1519 0.6846 0.5884
0.3400 0.3410 0.4235
0.3481 0.1846 0.5884
0.8481 0.1846 0.4116
0.4759 0.5230 0.3289
0.8400 0.3410 0.5765
0.1401 0.3492 0.5935
0.9591 0.7422 0.7421
0.1600 0.8410 0.4235
0.0409 0.2422 0.2579
0.6406 0.1786 0.5468
0.4695 0.3231 0.2300
0.8594 0.6786 0.5468
0.5241 0.0230 0.6711
0.0305 0.8231 0.2300
0.9695 0.3231 0.7700
0.4591 0.7422 0.2579
0.1406 0.1786 0.4532
0.8599 0.8492 0.4065
0.0241 0.0230 0.3289
0.6600 0.8410 0.5765
0.3594 0.6786 0.4532
0.9759 0.5230 0.6711
0.6401 0.3492 0.4065
0.5305 0.8231 0.7700
0.0124 0.1577 0.3659
0.7536 0.7710 0.4843
0.4876 0.6577 0.3659
0.4813 0.3837 0.3525
0.9876 0.6577 0.6341
0.5187 0.8837 0.6475
0.2536 0.7710 0.5157
0.9813 0.3837 0.6475
0.5124 0.1577 0.6341
0.0187 0.8837 0.3525
0.7464 0.2710 0.4843
0.2464 0.2710 0.5157
0.0003 0.5508 0.2049
0.4997 0.0508 0.2049
0.9997 0.0508 0.7951
0.5003 0.5508 0.7951
0.9373 0.0311 0.0005
0.5142 0.3570 0.7363
0.5400 0.4995 0.1335
0.9767 0.5158 0.2999
0.4767 0.5158 0.7001
0.5222 0.9208 0.3584
0.5117 0.3498 0.0325
0.0142 0.3570 0.2637
0.0388 0.4273 0.0530
0.9600 0.9995 0.1335
0.5689 0.6023 0.0847
0.5388 0.4273 0.9470
0.4941 0.8830 0.8605
0.5627 0.5311 0.0005
0.9883 0.8498 0.0325
0.0233 0.0158 0.7001
0.0689 0.6023 0.9153
0.4858 0.8570 0.2637
0.4612 0.9273 0.0530
0.4883 0.8498 0.9675
0.9612 0.9273 0.9470
0.9778 0.4208 0.3584
0.5244 0.4349 0.8329
0.0244 0.4349 0.1671
0.4600 0.9995 0.8665
0.5059 0.3830 0.1395
0.9858 0.8570 0.7363
0.4756 0.9349 0.1671
0.0117 0.3498 0.9675
0.0222 0.9208 0.6416
0.9756 0.9349 0.8329
0.0627 0.5311 0.9995
0.9311 0.1023 0.0847
0.4373 0.0311 0.9995
0.0400 0.4995 0.8665
0.0059 0.3830 0.8605
0.4311 0.1023 0.9153
0.5233 0.0158 0.2999
0.9941 0.8830 0.1395
0.4778 0.4208 0.6416
```

#x
Entry from the Materials Project: a relaxed structure of Si3C10NO7 (PBE).

The structure in POSCAR format:
```
Si3C10NO7
1.0
-5.9044 2.5731 6.0550
-4.4358 -10.6271 0.1906
9.2847 -3.6851 10.6196
Si O C N
12 28 40 4
Direct
0.5277 0.8604 0.3837
0.9723 0.3604 0.3837
0.7474 0.7447 0.5241
0.0276 0.1321 0.6236
0.4724 0.6321 0.6236
0.4723 0.3604 0.6163
0.2526 0.2447 0.4759
0.2474 0.7447 0.4759
0.0277 0.8604 0.6163
0.9724 0.6321 0.3764
0.5276 0.1321 0.3764
0.7526 0.2447 0.5241
0.0872 0.7860 0.7073
0.9128 0.2860 0.2927
0.5633 0.2065 0.2822
0.8594 0.1591 0.5841
0.0405 0.9946 0.6467
0.8578 0.8189 0.5915
0.1406 0.6591 0.4159
0.6422 0.3189 0.5915
0.3453 0.6671 0.5476
0.3581 0.3372 0.5313
0.9367 0.7065 0.2822
0.6406 0.6591 0.5841
0.6419 0.8372 0.4687
0.3578 0.8189 0.4085
0.0633 0.2065 0.7178
0.1547 0.1671 0.5476
0.6547 0.1671 0.4524
0.8453 0.6671 0.4524
0.4128 0.2860 0.7073
0.4367 0.7065 0.7178
0.1422 0.3189 0.4085
0.8581 0.3372 0.4687
0.1419 0.8372 0.5313
0.5872 0.7860 0.2927
0.4595 0.4946 0.6467
0.5405 0.9946 0.3533
0.3594 0.1591 0.4159
0.9595 0.4946 0.3533
0.0356 0.7893 0.2512
0.9787 0.9833 0.1807
0.4451 0.0831 0.9765
0.4689 0.0875 0.7685
0.5500 0.3791 0.9276
0.9335 0.9934 0.9123
0.5213 0.4833 0.1807
0.5332 0.4879 0.0811
0.5547 0.6838 0.2624
0.4787 0.9833 0.8193
0.9689 0.0875 0.2315
0.4335 0.9934 0.0877
0.4668 0.9879 0.9189
0.4453 0.1838 0.7376
0.4500 0.8791 0.0724
0.5348 0.3971 0.0177
0.0332 0.4879 0.9189
0.5744 0.6062 0.9345
0.5549 0.5831 0.0235
0.0311 0.5875 0.7685
0.0549 0.5831 0.9765
0.0744 0.6062 0.0655
0.9644 0.2893 0.7488
0.4256 0.1062 0.0655
0.0500 0.3791 0.0724
0.0348 0.3971 0.9823
0.5356 0.7893 0.7488
0.0213 0.4833 0.8193
0.5311 0.5875 0.2315
0.9451 0.0831 0.0235
0.4644 0.2893 0.2512
0.0547 0.6838 0.7376
0.9500 0.8791 0.9276
0.9668 0.9879 0.0811
0.9453 0.1838 0.2624
0.4652 0.8971 0.9823
0.9652 0.8971 0.0177
0.5665 0.4934 0.9123
0.0665 0.4934 0.0877
0.9256 0.1062 0.9345
0.4858 0.8825 0.7793
0.5142 0.3825 0.2207
0.9858 0.8825 0.2207
0.0142 0.3825 0.7793
```

How do the energies compare? Relative to the most stable structure, in meV per atom: #w 26; #x 0.